Record 1
Below is a geometry-optimized PrIn2Ir structure, with properties calculated at the meta-GGA r2SCAN level.

Properties
E_tot (eV/atom): -32.388
Volume (Å³/atom): 23.11

```
data_PrIn2Ir
_space_group_name_H-M_alt 'C m c m'
_space_group_IT_number 63
_space_group_name_Hall '-C 2c 2'
_cell_length_a 4.412
_cell_length_b 10.473
_cell_length_c 8.001
_cell_angle_alpha 90.00
_cell_angle_beta 90.00
_cell_angle_gamma 90.00
loop_
_atom_site_label
_atom_site_type_symbol
_atom_site_fract_x
_atom_site_fract_y
_atom_site_fract_z
Pr1 Pr 0.000 0.069 0.250
In1 In 0.000 0.353 0.052
Ir1 Ir 0.000 0.219 0.750
```

=====

Record 2
Below is a geometry-optimized SmIn2Ir structure, with properties calculated at the meta-GGA r2SCAN level.

Properties
E_tot (eV/atom): -32.492
Volume (Å³/atom): 22.44

```
data_SmIn2Ir
_space_group_name_H-M_alt 'C m c m'
_space_group_IT_number 63
_space_group_name_Hall '-C 2c 2'
_cell_length_a 4.341
_cell_length_b 10.313
_cell_length_c 8.020
_cell_angle_alpha 90.00
_cell_angle_beta 90.00
_cell_angle_gamma 90.00
loop_
_atom_site_label
_atom_site_type_symbol
_atom_site_fract_x
_atom_site_fract_y
_atom_site_fract_z
Sm1 Sm 0.000 0.070 0.250
In1 In 0.000 0.355 0.051
Ir1 Ir 0.000 0.220 0.750
```

=====

Record 3
Below is a geometry-optimized SmInIr structure, with properties calculated at the meta-GGA r2SCAN level.

Properties
E_tot (eV/atom): -35.690
Volume (Å³/atom): 21.99

```
data_SmInIr
_space_group_name_H-M_alt 'P -6 2 m'
_space_group_IT_number 189
_space_group_name_Hall 'P -6 -2'
_cell_length_a 7.5184
_cell_length_b 7.5184
_cell_length_c 4.0433
_cell_angle_alpha 90.00
_cell_angle_beta 90.00
_cell_angle_gamma 120.00
loop_
_atom_site_label
_atom_site_type_symbol
_atom_site_fract_x
_atom_site_fract_y
_atom_site_fract_z
Sm1 Sm 0.0000 0.4087 0.0000
In1 In 0.0000 0.7479 0.5000
Ir1 Ir 0.0000 0.0000 0.0000
Ir2 Ir 0.3333 0.6667 0.5000
```

=====

Record 4
Below is a geometry-optimized TbInIr structure, with properties calculated at the meta-GGA r2SCAN level.

Properties
E_tot (eV/atom): -36.226
Volume (Å³/atom): 21.31

```
data_TbInIr
_space_group_name_H-M_alt 'P -6 2 m'
_space_group_IT_number 189
_space_group_name_Hall 'P -6 -2'
_cell_length_a 7.4554
_cell_length_b 7.4554
_cell_length_c 3.9849
_cell_angle_alpha 90.00
_cell_angle_beta 90.00
_cell_angle_gamma 120.00
loop_
_atom_site_label
_atom_site_type_symbol
_atom_site_fract_x
_atom_site_fract_y
_atom_site_fract_z
Tb1 Tb 0.0000 0.5935 0.0000
In1 In 0.0000 0.2549 0.5000
Ir1 Ir 0.0000 0.0000 0.0000
Ir2 Ir 0.3333 0.6667 0.5000
```

=====

Record 5
Below is a geometry-optimized U2InIr2 structure, with properties calculated at the meta-GGA r2SCAN level.

Properties
E_tot (eV/atom): -58.100
Volume (Å³/atom): 21.21

```
data_U2InIr2
_space_group_name_H-M_alt 'P 4/m b m'
_space_group_IT_number 127
_space_group_name_Hall '-P 4 2ab'
_cell_length_a 7.665
_cell_length_b 7.665
_cell_length_c 3.611
_cell_angle_alpha 90.00
_cell_angle_beta 90.00
_cell_angle_gamma 90.00
loop_
_atom_site_label
_atom_site_type_symbol
_atom_site_fract_x
_atom_site_fract_y
_atom_site_fract_z
U1 U 0.166 0.334 0.000
In1 In 0.000 0.000 0.500
Ir1 Ir 0.139 0.639 0.500
```

=====

Record 6
Below is a geometry-optimized Y4InIr structure, with properties calculated at the meta-GGA r2SCAN level.

Properties
E_tot (eV/atom): -26.696
Volume (Å³/atom): 26.78

```
data_Y4InIr
_space_group_name_H-M_alt 'F -4 3 m'
_space_group_IT_number 216
_space_group_name_Hall 'F -4 2 3'
_cell_length_a 13.699
_cell_length_b 13.699
_cell_length_c 13.699
_cell_angle_alpha 90.00
_cell_angle_beta 90.00
_cell_angle_gamma 90.00
loop_
_atom_site_label
_atom_site_type_symbol
_atom_site_fract_x
_atom_site_fract_y
_atom_site_fract_z
Y1 Y 0.000 0.000 0.191
Y2 Y 0.058 0.250 0.250
Y3 Y 0.099 0.099 0.599
In1 In 0.167 0.167 0.833
Ir1 Ir 0.109 0.109 0.391
```

=====

Record 7
Below is a geometry-optimized YbIn5Ir structure, with properties calculated at the meta-GGA r2SCAN level.

Properties
E_tot (eV/atom): -29.261
Volume (Å³/atom): 22.61

```
data_YbIn5Ir
_space_group_name_H-M_alt 'P 4/m m m'
_space_group_IT_number 123
_space_group_name_Hall '-P 4 2'
_cell_length_a 4.633
_cell_length_b 4.633
_cell_length_c 7.373
_cell_angle_alpha 90.00
_cell_angle_beta 90.00
_cell_angle_gamma 90.00
loop_
_atom_site_label
_atom_site_type_symbol
_atom_site_fract_x
_atom_site_fract_y
_atom_site_fract_z
Yb1 Yb 0.000 0.000 0.000
In1 In 0.000 0.500 0.298
In2 In 0.500 0.500 0.000
Ir1 Ir 0.000 0.000 0.500
```

=====

Record 8
Below is a geometry-optimized K3In structure, with properties calculated at the meta-GGA r2SCAN level.

Properties
E_tot (eV/atom): -10.115
Volume (Å³/atom): 48.04

```
data_K3In
_space_group_name_H-M_alt 'P m -3 m'
_space_group_IT_number 221
_space_group_name_Hall '-P 4 2 3'
_cell_length_a 5.771
_cell_length_b 5.771
_cell_length_c 5.771
_cell_angle_alpha 90.00
_cell_angle_beta 90.00
_cell_angle_gamma 90.00
loop_
_atom_site_label
_atom_site_type_symbol
_atom_site_fract_x
_atom_site_fract_y
_atom_site_fract_z
K1 K 0.000 0.000 0.500
In1 In 0.500 0.500 0.500
```

=====

Record 9
Below is a geometry-optimized K5InMo4O16 structure, with properties calculated at the meta-GGA r2SCAN level.

Properties
E_tot (eV/atom): -11.966
Volume (Å³/atom): 16.27

```
data_K5InMo4O16
_space_group_name_H-M_alt 'C 1 c 1'
_space_group_IT_number 9
_cell_length_a 14.589
_cell_length_b 12.085
_cell_length_c 10.484
_cell_angle_alpha 90.00
_cell_angle_beta 113.77
_cell_angle_gamma 90.00
loop_
_space_group_symop_operation_xyz
'x,y,z'
'x,-y,z+1/2'
'x+1/2,y+1/2,z'
'x+1/2,-y+1/2,z+1/2'
loop_
_atom_site_label
_atom_site_type_symbol
_atom_site_fract_x
_atom_site_fract_y
_atom_site_fract_z
K1 K 0.000 0.099 0.000
K2 K 0.061 0.400 0.871
K3 K 0.074 0.129 0.365
K4 K 0.281 0.391 0.686
K5 K 0.488 0.131 0.007
In1 In 0.281 0.115 0.186
Mo1 Mo 0.177 0.367 0.276
Mo2 Mo 0.193 0.133 0.802
Mo3 Mo 0.369 0.133 0.570
Mo4 Mo 0.384 0.367 0.094
O1 O 0.106 0.236 0.716
O2 O 0.110 0.467 0.150
O3 O 0.126 0.367 0.402
O4 O 0.173 0.229 0.200
O5 O 0.175 0.007 0.702
O6 O 0.186 0.100 0.966
O7 O 0.251 0.184 0.537
O8 O 0.259 0.406 0.015
O9 O 0.302 0.407 0.355
O10 O 0.311 0.184 0.836
O11 O 0.376 0.101 0.406
O12 O 0.387 0.007 0.670
O13 O 0.388 0.229 0.170
O14 O 0.435 0.368 0.969
O15 O 0.450 0.467 0.220
O16 O 0.455 0.236 0.656
```

=====

Record 10
Below is a geometry-optimized K2In2P3Se10 structure, with properties calculated at the meta-GGA r2SCAN level.

Properties
E_tot (eV/atom): -13.990
Volume (Å³/atom): 29.87

```
data_K2In2P3Se10
_space_group_name_H-M_alt 'P 1 21/c 1'
_space_group_IT_number 14
_cell_length_a 19.993
_cell_length_b 7.923
_cell_length_c 13.394
_cell_angle_alpha 90.00
_cell_angle_beta 106.76
_cell_angle_gamma 90.00
loop_
_space_group_symop_operation_xyz
'x,y,z'
'-x,-y,-z'
'-x,y+1/2,-z+1/2'
'x,-y+1/2,z+1/2'
loop_
_atom_site_label
_atom_site_type_symbol
_atom_site_fract_x
_atom_site_fract_y
_atom_site_fract_z
K1 K 0.074 0.149 0.401
K2 K 0.419 0.555 0.824
In1 In 0.189 0.650 0.600
In2 In 0.325 0.025 0.968
P1 P 0.153 0.678 0.316
P2 P 0.164 0.058 0.725
P3 P 0.479 0.111 0.948
Se1 Se 0.061 0.155 0.653
Se2 Se 0.090 0.605 0.419
Se3 Se 0.094 0.632 0.705
Se4 Se 0.221 0.528 0.114
Se5 Se 0.224 0.231 0.845
Se6 Se 0.257 0.725 0.895
Se7 Se 0.282 0.072 0.135
Se8 Se 0.396 0.012 0.816
Se9 Se 0.428 0.224 0.536
Se10 Se 0.431 0.723 0.586
```

=====

Record 11
Below is a geometry-optimized KInS2 structure, with properties calculated at the meta-GGA r2SCAN level.

Properties
E_tot (eV/atom): -12.314
Volume (Å³/atom): 28.48

```
data_KInS2
_space_group_name_H-M_alt 'C 1 2/c 1'
_space_group_IT_number 15
_cell_length_a 11.086
_cell_length_b 11.084
_cell_length_c 15.091
_cell_angle_alpha 90.00
_cell_angle_beta 100.62
_cell_angle_gamma 90.00
loop_
_space_group_symop_operation_xyz
'x,y,z'
'-x,-y,-z'
'-x,y,-z+1/2'
'x,-y,z+1/2'
'x+1/2,y+1/2,z'
'-x+1/2,-y+1/2,-z'
'-x+1/2,y+1/2,-z+1/2'
'x+1/2,-y+1/2,z+1/2'
loop_
_atom_site_label
_atom_site_type_symbol
_atom_site_fract_x
_atom_site_fract_y
_atom_site_fract_z
K1 K 0.034 0.188 0.383
K2 K 0.217 0.438 0.118
In1 In 0.100 0.188 0.655
In2 In 0.148 0.437 0.845
S1 S 0.000 0.053 0.750
S2 S 0.000 0.428 0.250
S3 S 0.049 0.313 0.946
S4 S 0.202 0.063 0.555
S5 S 0.241 0.188 0.249
```

=====

Record 12
Below is a geometry-optimized KIn7S8 structure, with properties calculated at the meta-GGA r2SCAN level.

Properties
E_tot (eV/atom): -15.072
Volume (Å³/atom): 25.60

```
data_KIn7S8
_space_group_name_H-M_alt 'P 1 m 1'
_space_group_IT_number 6
_cell_length_a 17.680
_cell_length_b 3.938
_cell_length_c 19.072
_cell_angle_alpha 90.00
_cell_angle_beta 112.28
_cell_angle_gamma 90.00
loop_
_space_group_symop_operation_xyz
'x,y,z'
'x,-y,z'
loop_
_atom_site_label
_atom_site_type_symbol
_atom_site_fract_x
_atom_site_fract_y
_atom_site_fract_z
K1 K 0.000 0.000 0.000
K2 K 0.097 0.500 0.432
K3 K 0.500 0.000 0.000
In1 In 0.008 0.500 0.598
In2 In 0.089 0.000 0.834
In3 In 0.144 0.000 0.211
In4 In 0.198 0.000 0.672
In5 In 0.257 0.000 0.902
In6 In 0.298 0.000 0.329
In7 In 0.300 0.500 0.104
In8 In 0.340 0.500 0.530
In9 In 0.399 0.500 0.760
In10 In 0.455 0.500 0.220
In11 In 0.508 0.500 0.597
In12 In 0.588 0.000 0.833
In13 In 0.589 0.500 0.428
In14 In 0.645 0.000 0.211
In15 In 0.698 0.000 0.670
In16 In 0.757 0.000 0.901
In17 In 0.798 0.000 0.329
In18 In 0.801 0.500 0.104
In19 In 0.840 0.500 0.529
In20 In 0.899 0.500 0.760
In21 In 0.955 0.500 0.221
S1 S 0.029 0.500 0.884
S2 S 0.040 0.000 0.291
S3 S 0.059 0.500 0.141
S4 S 0.069 0.000 0.549
S5 S 0.132 0.500 0.722
S6 S 0.209 0.000 0.086
S7 S 0.262 0.000 0.451
S8 S 0.272 0.500 0.629
S9 S 0.325 0.000 0.803
S10 S 0.335 0.500 0.981
S11 S 0.391 0.500 0.349
S12 S 0.465 0.000 0.711
S13 S 0.529 0.500 0.884
S14 S 0.539 0.000 0.293
S15 S 0.559 0.500 0.142
S16 S 0.566 0.000 0.545
S17 S 0.633 0.500 0.719
S18 S 0.709 0.000 0.086
S19 S 0.764 0.000 0.451
S20 S 0.773 0.500 0.629
S21 S 0.824 0.000 0.802
S22 S 0.834 0.500 0.981
S23 S 0.890 0.500 0.345
S24 S 0.965 0.000 0.711
```

=====

In order of appearance, DFT formation energy = -0.66, -0.68, -0.80, -0.84, -0.66, -0.66, -0.43, 0.04, -2.25, -0.62, -1.15, -0.80 eV/atom.